# 1
The following is a DFT calculation (PBE) of a relaxed SiO2 crystal.

Output
V = 2290.8 Å³/cell
Size of the total moment = 0.000 μB/f.u.
Energy with MP2020 corrections = -8.362 eV/atom

Unit cell a=13.1345 b=13.1345 c=15.3332 alpha=90.00 beta=90.00 gamma=120.00
Space group P6_3/mmc (No. 194)
Asymmetric unit:
Si (0.0001, 0.2382, 0.1009) (multiplicity 24)
Si (0.0916, 0.4237, 0.2500) (multiplicity 12)
O (0.0000, 0.2768, 0.0000) (multiplicity 12)
O (0.0262, 0.3487, 0.1627) (multiplicity 24)
O (0.0826, 0.5413, 0.2500) (multiplicity 6)
O (0.1005, 0.2010, 0.1146) (multiplicity 12)
O (0.1267, 0.2535, 0.6269) (multiplicity 12)
O (0.2292, 0.4585, 0.2500) (multiplicity 6)


# 2
The following is a DFT calculation (PBE) of a relaxed Ba16Re6O37 crystal.

Output
V = 1993.5 Å³/cell
Size of the total moment = 0.000 μB/f.u.
Energy with MP2020 corrections = -7.682 eV/atom

Unit cell a=21.117 b=5.967 c=15.835 alpha=90.00 beta=92.50 gamma=90.00
Space group C2/m (No. 12)
Asymmetric unit:
Ba (0.000, 0.000, 0.000) (multiplicity 2)
Ba (0.000, 0.000, 0.500) (multiplicity 2)
Ba (0.049, 0.500, 0.142) (multiplicity 4)
Ba (0.080, 0.500, 0.648) (multiplicity 4)
Ba (0.087, 0.000, 0.799) (multiplicity 4)
Ba (0.107, 0.500, 0.397) (multiplicity 4)
Ba (0.181, 0.000, 0.045) (multiplicity 4)
Ba (0.236, 0.000, 0.399) (multiplicity 4)
Ba (0.236, 0.500, 0.201) (multiplicity 4)
Re (0.081, 0.000, 0.265) (multiplicity 4)
Re (0.142, 0.500, 0.930) (multiplicity 4)
Re (0.173, 0.000, 0.609) (multiplicity 4)
O (0.000, 0.500, 0.500) (multiplicity 2)
O (0.019, 0.233, 0.276) (multiplicity 8)
O (0.058, 0.000, 0.145) (multiplicity 4)
O (0.083, 0.268, 0.957) (multiplicity 8)
O (0.084, 0.000, 0.626) (multiplicity 4)
O (0.097, 0.000, 0.382) (multiplicity 4)
O (0.102, 0.500, 0.823) (multiplicity 4)
O (0.142, 0.225, 0.247) (multiplicity 8)
O (0.164, 0.500, 0.050) (multiplicity 4)
O (0.165, 0.232, 0.528) (multiplicity 8)
O (0.180, 0.224, 0.697) (multiplicity 8)
O (0.203, 0.276, 0.909) (multiplicity 8)
O (0.237, 0.500, 0.394) (multiplicity 4)


# 3
The following is a DFT calculation (PBE) of a relaxed VCo3 crystal.

Output
V = 260.6 Å³/cell
Total energy = -186.59 eV per cell

Unit cell a=4.9794 b=4.9794 c=12.1373 alpha=90.00 beta=90.00 gamma=120.00
Space group P6_3/mmc (No. 194)
Asymmetric unit:
V (0.0000, 0.0000, 0.2500) (multiplicity 2)
V (0.3333, 0.6667, 0.0889) (multiplicity 4)
Co (0.0091, 0.5045, 0.7500) (multiplicity 6)
Co (0.1660, 0.3320, 0.5827) (multiplicity 12)